Computed, not measured: a relaxed structure of Li10Mn2Fe3Co3O16 at the PBE with a Hubbard U level of DFT.

Output
Formation energy from the elements = -62.48 eV per formula unit
Space-group type = P1 (1)

Cell and atoms, written as extended XYZ:
```
34
Lattice="5.877 0.000 0.000 2.919 5.282 0.000 0.037 0.032 9.860" Properties=species:S:1:pos:R:3 pbc="T T T"
Li 0.000 0.000 0.000
Li 1.283 2.075 9.664
Li 1.234 0.918 2.102
Li 2.888 3.184 4.904
Li 2.541 0.032 0.017
Li 4.183 2.376 7.048
Li 4.206 1.118 4.791
Li 5.479 3.135 4.876
Li 7.089 4.369 4.150
Li 7.104 4.127 9.180
Mn 1.214 0.729 4.605
Mn 4.201 2.621 9.587
Fe 5.625 5.031 7.135
Fe 4.166 0.909 2.206
Fe 8.599 5.035 7.149
Co 2.691 3.495 2.227
Co 5.594 3.513 2.241
Co 7.118 2.374 7.153
O 2.740 3.309 8.408
O 1.264 0.601 8.325
O 2.623 1.423 5.848
O 4.208 4.307 1.111
O 2.815 1.750 0.933
O 4.175 4.193 5.997
O 5.608 5.246 3.366
O 4.220 2.584 3.356
O 5.624 3.284 8.376
O 4.196 0.515 8.299
O 5.556 1.840 1.014
O 6.999 4.435 1.175
O 7.115 4.159 6.026
O 5.730 1.423 5.907
O 7.020 2.696 3.366
O 5.622 0.046 3.449
```


Computed, not measured: a relaxed structure of Mn6Zn3SiAs2O20 at the PBE with a Hubbard U level of DFT.

Output
Formation energy from the elements = -61.02 eV per formula unit
Space-group type = Cmce (64)

Cell and atoms, written as extended XYZ:
```
128
Lattice="15.096 -4.273 0.000 15.096 4.273 0.000 0.000 0.000 11.501" Properties=species:S:1:pos:R:3 pbc="T T T"
Mn 10.424 2.182 9.962
Mn 2.963 0.000 5.751
Mn 10.424 2.091 4.212
Mn 13.644 2.262 10.073
Mn 5.990 0.000 5.751
Mn 13.644 2.011 4.322
Mn 16.548 2.262 10.073
Mn 9.106 0.000 0.000
Mn 16.548 2.011 4.322
Mn 19.768 2.182 9.962
Mn 12.133 0.000 0.000
Mn 19.768 2.091 4.212
Mn 10.424 -2.091 7.290
Mn 18.059 0.000 0.000
Mn 10.424 -2.182 1.539
Mn 13.644 -2.011 7.180
Mn 21.086 0.000 0.000
Mn 13.644 -2.262 1.429
Mn 16.548 -2.011 7.180
Mn 24.202 0.000 5.751
Mn 16.548 -2.262 1.429
Mn 19.768 -2.091 7.290
Mn 27.229 0.000 5.751
Mn 19.768 -2.182 1.539
Zn 6.159 1.181 10.174
Zn 15.096 3.441 7.142
Zn 8.937 1.181 7.078
Zn 6.159 -1.181 1.327
Zn 15.096 0.832 1.391
Zn 8.937 -1.181 4.424
Zn 21.255 1.181 7.078
Zn 15.096 -0.832 10.110
Zn 24.033 1.181 10.174
Zn 21.255 -1.181 4.424
Zn 15.096 -3.441 4.359
Zn 24.033 -1.181 1.327
Si 7.548 0.968 2.875
Si 7.548 -0.968 8.626
Si 22.644 0.968 2.875
Si 22.644 -0.968 8.626
As 12.106 3.301 1.554
As 18.086 3.301 1.554
As 12.106 0.972 7.304
As 18.086 0.972 7.304
As 12.106 -0.972 4.197
As 18.086 -0.972 4.197
As 12.106 -3.301 9.948
As 18.086 -3.301 9.948
O 1.608 0.364 7.057
O 8.908 2.405 8.606
O 9.122 2.354 5.582
O 1.631 0.021 1.564
O 1.631 -0.021 9.938
O 8.908 1.868 2.855
O 9.122 1.919 11.333
O 1.608 -0.364 4.444
O 4.513 0.240 6.980
O 12.144 2.269 0.125
O 4.479 0.071 10.005
O 12.006 2.179 2.907
O 12.006 2.094 8.658
O 4.479 -0.071 1.497
O 12.144 2.004 5.875
O 4.513 -0.240 4.522
O 15.096 2.341 8.779
O 7.465 0.075 4.275
O 15.096 2.203 11.359
O 7.631 0.075 1.476
O 7.465 -0.075 7.227
O 15.096 2.070 5.608
O 7.631 -0.075 10.026
O 15.096 1.932 3.028
O 10.583 0.240 10.272
O 18.048 2.269 0.125
O 10.617 0.071 7.248
O 18.186 2.179 2.907
O 18.186 2.094 8.658
O 10.617 -0.071 4.254
O 18.048 2.004 5.875
O 10.583 -0.240 1.229
O 13.488 0.364 10.195
O 21.070 2.354 5.582
O 21.284 2.405 8.606
O 13.465 0.021 4.187
O 13.465 -0.021 7.315
O 21.070 1.919 11.333
O 21.284 1.868 2.855
O 13.488 -0.364 1.307
O 16.704 0.364 10.195
O 8.908 -1.868 8.646
O 9.122 -1.919 0.169
O 16.727 0.021 4.187
O 16.727 -0.021 7.315
O 8.908 -2.405 2.895
O 9.122 -2.354 5.920
O 16.704 -0.364 1.307
O 19.609 0.240 10.272
O 12.144 -2.004 5.626
O 19.575 0.071 7.248
O 12.006 -2.094 2.844
O 12.006 -2.179 8.594
O 19.575 -0.071 4.254
O 12.144 -2.269 11.377
O 19.609 -0.240 1.229
O 15.096 -1.932 8.473
O 22.561 0.075 1.476
O 15.096 -2.070 5.893
O 22.727 0.075 4.275
O 22.561 -0.075 10.026
O 15.096 -2.203 0.143
O 22.727 -0.075 7.227
O 15.096 -2.341 2.722
O 25.679 0.240 6.980
O 18.048 -2.004 5.626
O 25.713 0.071 10.005
O 18.186 -2.094 2.844
O 18.186 -2.179 8.594
O 25.713 -0.071 1.497
O 18.048 -2.269 11.377
O 25.679 -0.240 4.522
O 28.584 0.364 7.057
O 21.070 -1.919 0.169
O 21.284 -1.868 8.646
O 28.561 0.021 1.564
O 28.561 -0.021 9.938
O 21.070 -2.354 5.920
O 21.284 -2.405 2.895
O 28.584 -0.364 4.444
```


Computed, not measured: a relaxed structure of Li3MnFe2B3O9 at the PBE with a Hubbard U level of DFT.

Output
Formation energy from the elements = -41.88 eV per formula unit
Offset from the most stable computed form = 62 meV per atom
Space-group type = Pm (6)

Cell and atoms, written as extended XYZ:
```
36
Lattice="8.262 0.000 0.000 0.000 6.288 0.000 -4.130 0.000 7.162" Properties=species:S:1:pos:R:3 pbc="T T T"
Li 0.000 1.566 0.000
Li 0.000 4.722 0.000
Li -0.389 1.580 5.235
Li -0.389 4.708 5.235
Li 4.343 1.570 2.961
Li 4.343 4.718 2.961
Mn 2.753 3.144 0.630
Mn 2.414 0.000 5.034
Fe -1.263 0.000 2.548
Fe -1.261 3.144 2.543
Fe 2.770 0.000 0.579
Fe 2.453 3.144 5.073
B -2.804 3.144 5.097
B -2.807 0.000 5.133
B 1.307 1.572 2.730
B 1.307 4.716 2.730
B 5.449 1.572 0.358
B 5.449 4.716 0.358
O -1.554 3.144 5.693
O -1.540 0.000 5.730
O 0.036 1.574 3.304
O 0.036 4.714 3.304
O 1.444 1.552 1.346
O 1.444 4.736 1.346
O 2.441 1.590 3.541
O 2.441 4.698 3.541
O 4.205 1.546 0.973
O 4.205 4.742 0.973
O 1.408 1.599 6.134
O 1.408 4.689 6.134
O 6.609 1.570 1.129
O 6.609 4.717 1.129
O 5.339 3.144 3.711
O 5.353 0.000 3.746
O 4.301 3.144 5.891
O 4.317 0.000 5.927
```


Question: What is the formation energy from the elements in the second record?
Answer: -61.02 eV per formula unit